Computed, not measured: VCrO3 after structural relaxation at the r2SCAN level of DFT.

abc: 4.9924 5.4011 8.9677
angles: 85.15 73.65 117.58
Closest atoms and distances in Å follow each position.
Positions (direct):
Cr  0.6526  0.6281  0.3224  6 O 1.96-2.06
Cr  0.1516  0.3761  0.0761  6 O 1.96-2.04
Cr  0.8491  0.6216  0.9239  6 O 1.97-2.04
Cr  0.6498  0.1248  0.8277  6 O 1.96-2.05
O  0.2509  0.2867  0.4693  3 V 1.95-2.08, 1 Cr 1.96
O  0.0556  0.0276  0.2221  2 V 1.97-2.09, 2 Cr 1.97-2.04
O  0.7502  0.7193  0.5259  3 V 1.98-2.06, 1 Cr 2.06
O  0.9428  0.9688  0.7767  2 Cr 1.97, 2 V 2.06
O  0.4437  0.8721  0.3738  3 V 1.97-2.07, 1 Cr 2.03
O  0.2504  0.7750  0.9729  3 Cr 1.97-2.04, 1 V 2.05
O  0.9388  0.4661  0.2774  2 Cr 1.97-2.04, 2 V 1.97-2.09
O  0.7549  0.2243  0.0257  3 Cr 1.96-2.04, 1 V 1.97
O  0.5553  0.6240  0.1245  3 Cr 1.97-2.03, 1 V 2.05
O  0.5537  0.1266  0.6298  1 Cr 1.96, 3 V 1.98-2.06
O  0.4460  0.3727  0.8786  3 Cr 1.96-2.04, 1 V 2.01
O  0.0538  0.5281  0.7245  2 V 1.96-2.01, 2 Cr 2.02-2.05
V  0.3526  0.8772  0.1726  6 O 1.97-2.09
V  0.1550  0.8816  0.5715  6 O 1.97-2.07
V  0.8467  0.1241  0.4282  6 O 1.95-2.09
V  0.3466  0.3751  0.6763  6 O 1.96-2.08

Values from the calculation:
- SG = P1 (1)

=====

Computed, not measured: ErSi2Ni after structural relaxation at the r2SCAN level of DFT.

abc: 8.4259 8.4259 3.9059
angles: 90.00 90.00 152.96
Closest atoms and distances in Å follow each position.
Positions (direct):
Er  0.8940  0.1060  0.7500  10 Si 2.97-3.10, 4 Ni 3.01
Er  0.1060  0.8940  0.2500  10 Si 2.97-3.10, 4 Ni 3.01
Si  0.7501  0.2499  0.2500  4 Ni 2.29-2.31
Si  0.4596  0.5404  0.2500  1 Ni 2.23, 2 Si 2.36
Si  0.2499  0.7501  0.7500  4 Ni 2.29-2.31
Si  0.5404  0.4596  0.7500  1 Ni 2.23, 2 Si 2.36
Ni  0.6767  0.3233  0.7500  5 Si 2.23-2.31
Ni  0.3233  0.6767  0.2500  5 Si 2.23-2.31

Values from the calculation:
- SG = Cmcm (63)

=====

E_tot per entry: -11.93; -16.72 eV/atom